# Mg14ZnSi, optimized geometry, DFT GGA-PBE
# Total magnetic moment = 0.01 μB per cell
# ΔE to the lowest computed polymorph = 0.21 eV per formula unit
# Formation energy = 0.03 eV per atom
data_Mg14ZnSi
_chemical_formula_sum 'Mg14 Zn1 Si1'
_space_group_name_H-M_alt 'P 1'
_space_group_IT_number 1
_cell_length_a 6.2271
_cell_length_b 6.2658
_cell_length_c 10.2607
_cell_angle_alpha 90.00
_cell_angle_beta 90.00
_cell_angle_gamma 120.21
loop_
_space_group_symop_operation_xyz
'x,y,z'
loop_
_atom_site_label
_atom_site_type_symbol
_atom_site_fract_x
_atom_site_fract_y
_atom_site_fract_z
Zn1 Zn 0.1632 0.3316 0.1250
Mg1 Mg 0.6713 0.3350 0.1250
Mg2 Mg 0.8360 0.1680 0.8752
Mg3 Mg 0.8369 0.6684 0.3728
Mg4 Mg 0.6654 0.3336 0.6250
Mg5 Mg 0.1700 0.3350 0.6250
Mg6 Mg 0.6654 0.8318 0.6250
Mg7 Mg 0.8369 0.6684 0.8772
Mg8 Mg 0.3285 0.6644 0.8844
Mg9 Mg 0.3285 0.1640 0.8844
Mg10 Mg 0.3285 0.6644 0.3656
Mg11 Mg 0.8360 0.1680 0.3748
Mg12 Mg 0.3285 0.1640 0.3656
Mg13 Mg 0.1687 0.8343 0.6250
Mg14 Mg 0.6713 0.8363 0.1250
Si1 Si 0.1652 0.8326 0.1250